# AlCo2O4

A relaxed AlCo2O4 crystal (GGA+U, the Materials Project).

Computed properties:
* crystal system: orthorhombic
* excess energy over the best structure of this formula in the dataset: 0 meV/atom

Unit cell a=5.8130 b=5.8130 c=5.8130 alpha=119.59 beta=118.83 gamma=91.37
Positions (direct):
1 O 0.2682 0.7839 0.0157
2 O 0.7318 0.2161 0.9843
3 O 0.7318 0.7474 0.5157
4 O 0.2702 0.2385 0.0317
5 O 0.7298 0.7615 0.9683
6 O 0.2932 0.7615 0.5317
7 O 0.7068 0.2385 0.4683
8 O 0.2682 0.2526 0.4843
9 Co 0.0000 0.0000 0.0000
10 Co 0.5000 0.0000 0.5000
11 Co 0.8783 0.6283 0.2500
12 Co 0.1217 0.3717 0.7500
13 Al 0.5000 0.5000 0.5000
14 Al 0.5000 0.0000 0.0000

***

# AlCoO3

A relaxed AlCoO3 crystal (GGA+U, the Materials Project).

Computed properties:
* crystal system: orthorhombic

Unit cell a=4.7698 b=4.9208 c=7.3005 alpha=90.00 beta=90.00 gamma=90.00
Positions (direct):
1 Al 0.0230 0.5667 0.2500
2 Al 0.5230 0.9333 0.7500
3 Al 0.4770 0.0667 0.2500
4 Al 0.9770 0.4333 0.7500
5 Co 0.5000 0.5000 0.5000
6 Co 0.5000 0.5000 0.0000
7 Co 0.0000 0.0000 0.5000
8 Co 0.0000 0.0000 0.0000
9 O 0.1788 0.3187 0.0831
10 O 0.8212 0.6813 0.9169
11 O 0.1788 0.3187 0.4169
12 O 0.8486 0.9150 0.2500
13 O 0.1514 0.0850 0.7500
14 O 0.3212 0.8187 0.4169
15 O 0.3212 0.8187 0.0831
16 O 0.6788 0.1813 0.5831
17 O 0.6514 0.4150 0.2500
18 O 0.6788 0.1813 0.9169
19 O 0.3486 0.5850 0.7500
20 O 0.8212 0.6813 0.5831

***

# Al2CoO4

A relaxed Al2CoO4 crystal (GGA+U, the Materials Project).

Computed properties:
* crystal system: trigonal
* excess energy over the best structure of this formula in the dataset: 37 meV/atom

Unit cell a=5.7836 b=5.7836 c=14.1966 alpha=90.00 beta=90.00 gamma=120.00
Positions (direct):
1 Al 0.6667 0.3333 0.2914
2 Al 0.0045 0.5022 0.1262
3 Al 0.6724 0.8362 0.7910
4 Al 0.8325 0.6651 0.4577
5 Al 0.4978 0.5022 0.1262
6 Al 0.8325 0.1675 0.4577
7 Al 0.1638 0.8362 0.7910
8 Al 0.4978 0.9955 0.1262
9 Al 0.1638 0.3276 0.7910
10 Al 0.3349 0.1675 0.4577
11 Al 0.6667 0.3333 0.9141
12 Al 0.0000 0.0000 0.6237
13 O 0.2948 0.1474 0.7117
14 O 0.1472 0.2944 0.5367
15 O 0.8526 0.1474 0.7117
16 O 0.8113 0.6225 0.2028
17 O 0.8526 0.7052 0.7117
18 O 0.3333 0.6667 0.1967
19 O 0.1472 0.8528 0.5367
20 O 0.6667 0.3333 0.5272
21 O 0.3775 0.1887 0.2028
22 O 0.0000 0.0000 0.8612
23 O 0.6412 0.8206 0.0553
24 O 0.5189 0.4811 0.3799
25 O 0.4971 0.5029 0.8659
26 O 0.1794 0.8206 0.0553
27 O 0.5189 0.0379 0.3799
28 O 0.7056 0.8528 0.5367
29 O 0.4971 0.9943 0.8659
30 O 0.1794 0.3588 0.0553
31 O 0.8113 0.1887 0.2028
32 O 0.0000 0.0000 0.3885
33 O 0.6667 0.3333 0.0434
34 O 0.0057 0.5029 0.8659
35 O 0.9621 0.4811 0.3799
36 O 0.3333 0.6667 0.7275
37 Co 0.0000 0.0000 0.0029
38 Co 0.3333 0.6667 0.5847
39 Co 0.6667 0.3333 0.6662
40 Co 0.3333 0.6667 0.3344
41 Co 0.3333 0.6667 0.9605
42 Co 0.0000 0.0000 0.2469

***

# AlCo3O6

A relaxed AlCo3O6 crystal (GGA+U, the Materials Project).

Computed properties:
* crystal system: monoclinic

Unit cell a=5.8327 b=5.8327 c=14.0672 alpha=89.10 beta=89.10 gamma=59.99
Positions (direct):
1 O 0.5082 0.5082 0.2447
2 O 0.9834 0.9834 0.2533
3 O 0.1360 0.6571 0.4132
4 O 0.8640 0.3429 0.5868
5 O 0.5393 0.9701 0.2498
6 O 0.0166 0.0166 0.7467
7 O 0.8295 0.3475 0.0983
8 O 0.3475 0.8295 0.0983
9 O 0.8263 0.8263 0.0887
10 O 0.3325 0.3325 0.0991
11 O 0.3429 0.8640 0.5868
12 O 0.4607 0.0299 0.7502
13 O 0.6675 0.6675 0.9009
14 O 0.8149 0.8149 0.5681
15 O 0.9701 0.5393 0.2498
16 O 0.1851 0.1851 0.4319
17 O 0.3189 0.3189 0.5780
18 O 0.1737 0.1737 0.9113
19 O 0.4918 0.4918 0.7553
20 O 0.0299 0.4607 0.7502
21 O 0.1705 0.6525 0.9017
22 O 0.6571 0.1360 0.4132
23 O 0.6525 0.1705 0.9017
24 O 0.6811 0.6811 0.4220
25 Co 0.8276 0.3353 0.8358
26 Co 0.4901 0.4901 0.3828
27 Co 0.5099 0.5099 0.6172
28 Co 0.5000 0.0000 0.5000
29 Co 0.8301 0.8301 0.7060
30 Co 0.0000 0.5000 0.5000
31 Co 0.8367 0.8367 0.9535
32 Co 0.1633 0.1633 0.0465
33 Co 0.1724 0.6647 0.1642
34 Co 0.6647 0.1724 0.1642
35 Co 0.1699 0.1699 0.2940
36 Co 0.3353 0.8276 0.8358
37 Al 0.1653 0.1653 0.6652
38 Al 0.3333 0.3333 0.8333
39 Al 0.6667 0.6667 0.1667
40 Al 0.8347 0.8347 0.3348

***

# Al2Co2O7

A relaxed Al2Co2O7 crystal (GGA+U, the Materials Project).

Computed properties:
* crystal system: triclinic
* excess energy over the best structure of this formula in the dataset: 0 meV/atom

Unit cell a=6.5189 b=6.6365 c=6.5024 alpha=59.75 beta=59.28 gamma=59.81
Positions (direct):
1 Al 0.0000 0.5000 0.5000
2 Al 0.5000 0.0000 0.5000
3 Al 0.5000 0.5000 0.0000
4 Al 0.5000 0.5000 0.5000
5 O 0.3354 0.8804 0.3355
6 O 0.3426 0.3462 0.9175
7 O 0.1134 0.0715 0.6525
8 O 0.6507 0.0770 0.1112
9 O 0.6574 0.6538 0.0825
10 O 0.6211 0.6305 0.6193
11 O 0.9211 0.3441 0.3427
12 O 0.9027 0.3411 0.8995
13 O 0.3493 0.9230 0.8888
14 O 0.8866 0.9285 0.3475
15 O 0.3789 0.3695 0.3807
16 O 0.0973 0.6589 0.1005
17 O 0.6646 0.1196 0.6645
18 O 0.0789 0.6559 0.6573
19 Co 0.0000 0.0000 0.0000
20 Co 0.5000 0.0000 0.0000
21 Co 0.0000 0.5000 0.0000
22 Co 0.0000 0.0000 0.5000

***

# AlCo2O4

A relaxed AlCo2O4 crystal (GGA+U, the Materials Project).

Computed properties:
* crystal system: monoclinic
* excess energy over the best structure of this formula in the dataset: 341 meV/atom

Unit cell a=6.1409 b=6.1409 c=5.1559 alpha=65.31 beta=65.31 gamma=107.32
Positions (direct):
1 O 0.2795 0.1010 0.7557
2 O 0.1010 0.2795 0.2557
3 O 0.8575 0.5371 0.3616
4 O 0.1425 0.4629 0.6384
5 O 0.8990 0.7205 0.7443
6 O 0.5371 0.8575 0.8616
7 O 0.7205 0.8990 0.2443
8 O 0.4629 0.1425 0.1384
9 Co 0.5000 0.5000 0.0000
10 Co 0.0000 0.5000 0.0000
11 Co 0.5000 0.5000 0.5000
12 Co 0.5000 0.0000 0.5000
13 Al 0.8776 0.1224 0.7500
14 Al 0.1224 0.8776 0.2500

***

# Al2CoO4

A relaxed Al2CoO4 crystal (GGA+U, the Materials Project).

Computed properties:
* crystal system: monoclinic
* excess energy over the best structure of this formula in the dataset: 38 meV/atom

Unit cell a=5.7827 b=5.7827 c=14.1590 alpha=89.65 beta=89.65 gamma=59.85
Positions (direct):
1 Al 0.3333 0.3333 0.2911
2 Al 0.8340 0.8340 0.7922
3 Al 0.5042 0.9962 0.1251
4 Al 0.1668 0.6660 0.4578
5 Al 0.3317 0.3317 0.9147
6 Al 0.9962 0.5042 0.1251
7 Al 0.5025 0.5025 0.1250
8 Al 0.9997 0.9997 0.6243
9 Al 0.8325 0.3295 0.7920
10 Al 0.6660 0.1668 0.4578
11 Al 0.3295 0.8325 0.7920
12 Al 0.1666 0.1666 0.4578
13 O 0.8511 0.2958 0.5368
14 O 0.5015 0.9913 0.8679
15 O 0.9913 0.5015 0.8679
16 O 0.4812 0.0385 0.3799
17 O 0.1880 0.1880 0.2019
18 O 0.4980 0.4980 0.8641
19 O 0.1462 0.1462 0.7124
20 O 0.6656 0.6656 0.1961
21 O 0.8193 0.3659 0.0517
22 O 0.3341 0.3341 0.0439
23 O 0.6240 0.1886 0.2025
24 O 0.7062 0.1461 0.7121
25 O 0.0004 0.0004 0.3886
26 O 0.3326 0.3326 0.5274
27 O 0.0385 0.4812 0.3799
28 O 0.2958 0.8511 0.5368
29 O 0.8521 0.8521 0.5370
30 O 0.1886 0.6240 0.2025
31 O 0.1461 0.7062 0.7121
32 O 0.8242 0.8242 0.0565
33 O 0.6669 0.6669 0.7276
34 O 0.4802 0.4802 0.3798
35 O 0.9986 0.9986 0.8613
36 O 0.3659 0.8193 0.0517
37 Co 0.6664 0.6664 0.3340
38 Co 0.0011 0.0011 0.0023
39 Co 0.9998 0.9998 0.2472
40 Co 0.6665 0.6665 0.5849
41 Co 0.6667 0.6667 0.9605
42 Co 0.3331 0.3331 0.6666

***

# AlCoO3

A relaxed AlCoO3 crystal (GGA+U, the Materials Project).

Computed properties:
* crystal system: monoclinic

Unit cell a=6.3679 b=6.3679 c=5.0302 alpha=82.36 beta=82.36 gamma=84.50
Positions (direct):
1 O 0.7184 0.5601 0.8805
2 O 0.2816 0.4399 0.1195
3 O 0.3565 0.8617 0.8904
4 O 0.1928 0.0278 0.3838
5 O 0.8617 0.3565 0.3904
6 O 0.4399 0.2816 0.6195
7 O 0.5601 0.7184 0.3805
8 O 0.9722 0.8072 0.1162
9 O 0.6435 0.1383 0.1096
10 O 0.0278 0.1928 0.8838
11 O 0.1383 0.6435 0.6096
12 O 0.8072 0.9722 0.6162
13 Co 0.2690 0.7310 0.2500
14 Co 0.0866 0.9134 0.7500
15 Co 0.7310 0.2690 0.7500
16 Co 0.9134 0.0866 0.2500
17 Al 0.2137 0.3995 0.8033
18 Al 0.6005 0.7863 0.6967
19 Al 0.3995 0.2137 0.3033
20 Al 0.7863 0.6005 0.1967

***

# Al5Co3O12

A relaxed Al5Co3O12 crystal (GGA+U, the Materials Project).

Computed properties:
* crystal system: monoclinic

Unit cell a=5.7295 b=5.7295 c=14.0063 alpha=89.81 beta=89.81 gamma=60.09
Positions (direct):
1 Co 0.9953 0.9953 0.2565
2 Co 0.3369 0.3369 0.6657
3 Co 0.6586 0.6586 0.5774
4 Co 0.6749 0.6749 0.3359
5 Co 0.6669 0.6669 0.9510
6 Co 0.0012 0.0012 0.9962
7 O 0.3443 0.3443 0.5354
8 O 0.4831 0.4831 0.3786
9 O 0.9574 0.5194 0.8674
10 O 0.3333 0.3333 0.0608
11 O 0.9894 0.9894 0.3844
12 O 0.6672 0.6672 0.1933
13 O 0.1823 0.6397 0.2044
14 O 0.5105 0.0227 0.3712
15 O 0.3071 0.8239 0.5450
16 O 0.0227 0.5105 0.3712
17 O 0.3580 0.8219 0.0466
18 O 0.1499 0.1499 0.7128
19 O 0.8212 0.8212 0.0464
20 O 0.5194 0.9574 0.8674
21 O 0.5195 0.5195 0.8681
22 O 0.8219 0.3580 0.0466
23 O 0.8239 0.3071 0.5450
24 O 0.6999 0.1474 0.7143
25 O 0.6659 0.6659 0.7142
26 O 0.9992 0.9992 0.8630
27 O 0.1803 0.1803 0.2065
28 O 0.1474 0.6999 0.7143
29 O 0.6397 0.1823 0.2044
30 O 0.8493 0.8493 0.5376
31 Al 0.3279 0.3279 0.2935
32 Al 0.8263 0.3406 0.7952
33 Al 0.0054 0.0054 0.6237
34 Al 0.0052 0.4981 0.1199
35 Al 0.4981 0.0052 0.1199
36 Al 0.1700 0.6633 0.4595
37 Al 0.4976 0.4976 0.1204
38 Al 0.3406 0.8263 0.7952
39 Al 0.8289 0.8289 0.7945
40 Al 0.6633 0.1700 0.4595

***

# AlCoO3

A relaxed AlCoO3 crystal (GGA+U, the Materials Project).

Computed properties:
* crystal system: hexagonal

Unit cell a=3.1518 b=3.1518 c=11.2661 alpha=90.00 beta=90.00 gamma=120.00
Positions (direct):
1 O 0.6667 0.3333 0.9219
2 O 0.6667 0.3333 0.5781
3 O 0.0000 0.0000 0.2500
4 O 0.3333 0.6667 0.0781
5 O 0.3333 0.6667 0.4219
6 O 0.0000 0.0000 0.7500
7 Co 0.6667 0.3333 0.7500
8 Co 0.3333 0.6667 0.2500
9 Al 0.0000 0.0000 0.0000
10 Al 0.0000 0.0000 0.5000

***

# Al2CoO4

A relaxed Al2CoO4 crystal (GGA+U, the Materials Project).

Computed properties:
* crystal system: trigonal
* excess energy over the best structure of this formula in the dataset: 0 meV/atom

Unit cell a=5.7819 b=5.7819 c=28.3747 alpha=90.00 beta=90.00 gamma=120.00
Positions (direct):
1 Al 0.1687 0.8313 0.0629
2 Al 0.8351 0.1649 0.7291
3 Al 0.1669 0.3338 0.5625
4 Al 0.6662 0.8331 0.5625
5 Al 0.0000 0.0000 0.9559
6 Al 0.6667 0.3333 0.3122
7 Al 0.0000 0.0000 0.6454
8 Al 0.5000 0.5000 0.3957
9 Al 0.3334 0.1667 0.2288
10 Al 0.9999 0.5000 0.3957
11 Al 0.8333 0.1667 0.2288
12 Al 0.5035 0.0070 0.8958
13 Al 0.3298 0.1649 0.7291
14 Al 0.3333 0.6667 0.7908
15 Al 0.8333 0.6666 0.2288
16 Al 0.1669 0.8331 0.5625
17 Al 0.5035 0.4965 0.8958
18 Al 0.1687 0.3375 0.0629
19 Al 0.0000 0.0000 0.1456
20 Al 0.5000 0.0001 0.3957
21 Al 0.6625 0.8313 0.0629
22 Al 0.8351 0.6702 0.7291
23 Al 0.3333 0.6667 0.4791
24 Al 0.9930 0.4965 0.8958
25 O 0.8551 0.7103 0.1012
26 O 0.9982 0.4991 0.7662
27 O 0.0386 0.5193 0.5234
28 O 0.6667 0.3333 0.4303
29 O 0.5194 0.4806 0.2682
30 O 0.8141 0.1859 0.3566
31 O 0.8520 0.7040 0.6020
32 O 0.4807 0.9614 0.5234
33 O 0.6281 0.8140 0.4352
34 O 0.0000 0.0000 0.2635
35 O 0.2960 0.1480 0.6020
36 O 0.8198 0.6396 0.8599
37 O 0.4871 0.5129 0.0276
38 O 0.3333 0.6667 0.5971
39 O 0.5009 0.4991 0.7662
40 O 0.1860 0.3719 0.4352
41 O 0.8520 0.1480 0.6020
42 O 0.3333 0.6667 0.0984
43 O 0.3333 0.6667 0.3614
44 O 0.7058 0.8529 0.1899
45 O 0.1471 0.2942 0.1899
46 O 0.3333 0.6667 0.8568
47 O 0.5194 0.0389 0.2682
48 O 0.0000 0.0000 0.5284
49 O 0.8141 0.6281 0.3566
50 O 0.8551 0.1449 0.1012
51 O 0.9611 0.4806 0.2682
52 O 0.3719 0.1859 0.3566
53 O 0.6667 0.3333 0.6973
54 O 0.4871 0.9742 0.0276
55 O 0.1464 0.8536 0.6893
56 O 0.6555 0.8277 0.9329
57 O 0.2897 0.1449 0.1012
58 O 0.7072 0.8536 0.6893
59 O 0.6667 0.3333 0.9318
60 O 0.4807 0.5193 0.5234
61 O 0.1723 0.8277 0.9329
62 O 0.5009 0.0018 0.7662
63 O 0.0258 0.5129 0.0276
64 O 0.6667 0.3333 0.1940
65 O 0.0000 0.0000 0.7639
66 O 0.1471 0.8529 0.1899
67 O 0.3604 0.1802 0.8599
68 O 0.1860 0.8140 0.4352
69 O 0.8198 0.1802 0.8599
70 O 0.0000 0.0000 0.0209
71 O 0.1723 0.3445 0.9329
72 O 0.1464 0.2928 0.6893
73 Co 0.6667 0.3333 0.8129
74 Co 0.6667 0.3333 0.0018
75 Co 0.6667 0.3333 0.4998
76 Co 0.3333 0.6667 0.2914
77 Co 0.6667 0.3333 0.6260
78 Co 0.0000 0.0000 0.4584
79 Co 0.3333 0.6667 0.9807
80 Co 0.3333 0.6667 0.1672
81 Co 0.0000 0.0000 0.3329
82 Co 0.0000 0.0000 0.8345
83 Co 0.3333 0.6667 0.6668
84 Co 0.6667 0.3333 0.1233

***

Respective formation energy values: -2063 -2164 -2852 -1728 -1910 -1721 -2851 -2245 -2534 -2090 -2889 meV per atom.